Density functional theory data (GGA-PBE) for a geometry-optimized SnH16C4N3O12 structure.

Output
magnetic moment	3.9	μB per cell
space-group type	P2_12_12_1, No. 19
energy of formation	-1065	meV/atom

Lattice parameters (Å, degrees): 8.1004 11.5749 16.0857 90.00 90.00 90.00
With the nearest neighbours (Å) after each atom.
Fractional positions:
Sn (0.0426, 0.0383, 0.2408)  5 O 1.97-2.20
Sn (0.4574, 0.9617, 0.7408)  5 O 1.97-2.20
Sn (0.5426, 0.4617, 0.7592)  5 O 1.97-2.20
Sn (0.9574, 0.5383, 0.2592)  5 O 1.97-2.20
H (0.0117, 0.5776, 0.4893)  1 O 0.99
H (0.0248, 0.2662, 0.5950)  1 N 1.04
H (0.0367, 0.0351, 0.6680)  1 O 0.98
H (0.0384, 0.9039, 0.9210)  1 N 1.04
H (0.0492, 0.5219, 0.0803)  1 N 1.08
H (0.0752, 0.5518, 0.9749)  1 N 1.04
H (0.0941, 0.6076, 0.5752)  1 O 0.99
H (0.1012, 0.2143, 0.8412)  1 N 1.03
H (0.1309, 0.8233, 0.8449)  1 N 1.04
H (0.1417, 0.6476, 0.0483)  1 N 1.03
H (0.1580, 0.5396, 0.8342)  1 O 0.98
H (0.1663, 0.7925, 0.9446)  1 N 1.03
H (0.2067, 0.2518, 0.9270)  1 N 1.04
H (0.2075, 0.8461, 0.3596)  1 N 1.06
H (0.2303, 0.7049, 0.3282)  1 N 1.05
H (0.2424, 0.5226, 0.0321)  1 N 1.04
H (0.2576, 0.4774, 0.5321)  1 N 1.04
H (0.2697, 0.2951, 0.8282)  1 N 1.05
H (0.2925, 0.1539, 0.8596)  1 N 1.06
H (0.2933, 0.7482, 0.4270)  1 N 1.04
H (0.3337, 0.2075, 0.4446)  1 N 1.03
H (0.3420, 0.4604, 0.3342)  1 O 0.98
H (0.3583, 0.3524, 0.5483)  1 N 1.03
H (0.3691, 0.1767, 0.3449)  1 N 1.04
H (0.3988, 0.7857, 0.3412)  1 N 1.03
H (0.4059, 0.3924, 0.0752)  1 O 0.99
H (0.4248, 0.4482, 0.4749)  1 N 1.04
H (0.4508, 0.4781, 0.5803)  1 N 1.08
H (0.4616, 0.0961, 0.4210)  1 N 1.04
H (0.4633, 0.9649, 0.1680)  1 O 0.98
H (0.4752, 0.7338, 0.0950)  1 N 1.04
H (0.4883, 0.4224, 0.9893)  1 O 0.99
H (0.5117, 0.9224, 0.5107)  1 O 0.99
H (0.5248, 0.2338, 0.4050)  1 N 1.04
H (0.5367, 0.4649, 0.3320)  1 O 0.98
H (0.5384, 0.5961, 0.0790)  1 N 1.04
H (0.5492, 0.9781, 0.9197)  1 N 1.08
H (0.5752, 0.9482, 0.0251)  1 N 1.04
H (0.5941, 0.8924, 0.4248)  1 O 0.99
H (0.6012, 0.2857, 0.1588)  1 N 1.03
H (0.6309, 0.6767, 0.1551)  1 N 1.04
H (0.6417, 0.8524, 0.9517)  1 N 1.03
H (0.6580, 0.9604, 0.1658)  1 O 0.98
H (0.6663, 0.7075, 0.0554)  1 N 1.03
H (0.7067, 0.2482, 0.0730)  1 N 1.04
H (0.7075, 0.6539, 0.6404)  1 N 1.06
H (0.7303, 0.7951, 0.6718)  1 N 1.05
H (0.7424, 0.9774, 0.9679)  1 N 1.04
H (0.7576, 0.0226, 0.4679)  1 N 1.04
H (0.7697, 0.2049, 0.1718)  1 N 1.05
H (0.7925, 0.3461, 0.1404)  1 N 1.06
H (0.7933, 0.7518, 0.5730)  1 N 1.04
H (0.8337, 0.2925, 0.5554)  1 N 1.03
H (0.8420, 0.0396, 0.6658)  1 O 0.98
H (0.8583, 0.1476, 0.4517)  1 N 1.03
H (0.8691, 0.3233, 0.6551)  1 N 1.04
H (0.8988, 0.7143, 0.6588)  1 N 1.03
H (0.9059, 0.1076, 0.9248)  1 O 0.99
H (0.9248, 0.0518, 0.5251)  1 N 1.04
H (0.9508, 0.0219, 0.4197)  1 N 1.08
H (0.9616, 0.4039, 0.5790)  1 N 1.04
H (0.9633, 0.5351, 0.8320)  1 O 0.98
H (0.9752, 0.7662, 0.9050)  1 N 1.04
H (0.9883, 0.0776, 0.0107)  1 O 0.99
C (0.0174, 0.3470, 0.3778)  2 O 1.23-1.31
C (0.1738, 0.8554, 0.1286)  2 O 1.24-1.30
C (0.1762, 0.2058, 0.1075)  2 O 1.24-1.30
C (0.2242, 0.7713, 0.6882)  2 O 1.24-1.30
C (0.2758, 0.2287, 0.1882)  2 O 1.24-1.30
C (0.3238, 0.7942, 0.6075)  2 O 1.24-1.30
C (0.3262, 0.1446, 0.6286)  2 O 1.24-1.30
C (0.4826, 0.6530, 0.8778)  2 O 1.23-1.31
C (0.5174, 0.1530, 0.6222)  2 O 1.23-1.31
C (0.6738, 0.6446, 0.8714)  2 O 1.24-1.30
C (0.6762, 0.2942, 0.8925)  2 O 1.24-1.30
C (0.7242, 0.7287, 0.3118)  2 O 1.24-1.30
C (0.7758, 0.2713, 0.8118)  2 O 1.24-1.30
C (0.8238, 0.7058, 0.3925)  2 O 1.24-1.30
C (0.8262, 0.3554, 0.3714)  2 O 1.24-1.30
C (0.9826, 0.8470, 0.1222)  2 O 1.23-1.31
N (0.0770, 0.8213, 0.9037)  4 H 1.03-1.04
N (0.1265, 0.5612, 0.0338)  4 H 1.03-1.08
N (0.2181, 0.2289, 0.8650)  4 H 1.03-1.06
N (0.2819, 0.7711, 0.3650)  4 H 1.03-1.06
N (0.3735, 0.4388, 0.5338)  4 H 1.03-1.08
N (0.4230, 0.1787, 0.4037)  4 H 1.03-1.04
N (0.5770, 0.6787, 0.0963)  4 H 1.03-1.04
N (0.6265, 0.9388, 0.9662)  4 H 1.03-1.08
N (0.7181, 0.2711, 0.1350)  4 H 1.03-1.06
N (0.7819, 0.7289, 0.6350)  4 H 1.03-1.06
N (0.8735, 0.0612, 0.4662)  4 H 1.03-1.08
N (0.9230, 0.3213, 0.5963)  4 H 1.03-1.04
O (0.0486, 0.5429, 0.5425)  2 H 0.99
O (0.0607, 0.5100, 0.8635)  2 H 0.98
O (0.0660, 0.1248, 0.1127)  1 C 1.30
O (0.0710, 0.9637, 0.3502)  2 H 1.63-1.76
O (0.0791, 0.2799, 0.4284)  1 C 1.23
O (0.1001, 0.4148, 0.3280)  1 C 1.31
O (0.1145, 0.6967, 0.6882)  1 C 1.24
O (0.1518, 0.6420, 0.2396)  1 H 1.72
O (0.2100, 0.2640, 0.0449)  1 C 1.24
O (0.2311, 0.9284, 0.1825)  1 C 1.30
O (0.2381, 0.1652, 0.2523)  1 C 1.30
O (0.2409, 0.2059, 0.5819)  1 C 1.24
O (0.2591, 0.7941, 0.0819)  1 C 1.24
O (0.2619, 0.8348, 0.7523)  1 C 1.30
O (0.2689, 0.0716, 0.6825)  1 C 1.30
O (0.2900, 0.7360, 0.5449)  1 C 1.24
O (0.3482, 0.3580, 0.7396)  1 H 1.72
O (0.3855, 0.3033, 0.1882)  1 C 1.24
O (0.3999, 0.5852, 0.8280)  1 C 1.31
O (0.4209, 0.7201, 0.9284)  1 C 1.23
O (0.4290, 0.0363, 0.8502)  2 H 1.63-1.76
O (0.4340, 0.8752, 0.6127)  1 C 1.30
O (0.4393, 0.4900, 0.3635)  2 H 0.98
O (0.4514, 0.4571, 0.0425)  2 H 0.99
O (0.5486, 0.9571, 0.4575)  2 H 0.99
O (0.5607, 0.9900, 0.1365)  2 H 0.98
O (0.5660, 0.3752, 0.8873)  1 C 1.30
O (0.5710, 0.5363, 0.6498)  2 H 1.63-1.76
O (0.5791, 0.2201, 0.5716)  1 C 1.23
O (0.6001, 0.0852, 0.6720)  1 C 1.31
O (0.6145, 0.8033, 0.3118)  1 C 1.24
O (0.6518, 0.8580, 0.7604)  1 H 1.72
O (0.7100, 0.2360, 0.9551)  1 C 1.24
O (0.7311, 0.5716, 0.8175)  1 C 1.30
O (0.7381, 0.3348, 0.7477)  1 C 1.30
O (0.7409, 0.2941, 0.4181)  1 C 1.24
O (0.7591, 0.7059, 0.9181)  1 C 1.24
O (0.7619, 0.6652, 0.2477)  1 C 1.30
O (0.7689, 0.4284, 0.3175)  1 C 1.30
O (0.7900, 0.7640, 0.4551)  1 C 1.24
O (0.8482, 0.1420, 0.2604)  1 H 1.72
O (0.8855, 0.1967, 0.8118)  1 C 1.24
O (0.8999, 0.9148, 0.1720)  1 C 1.31
O (0.9209, 0.7799, 0.0716)  1 C 1.23
O (0.9290, 0.4637, 0.1498)  2 H 1.63-1.76
O (0.9340, 0.6248, 0.3873)  1 C 1.30
O (0.9393, 0.0100, 0.6365)  2 H 0.98
O (0.9514, 0.0429, 0.9575)  2 H 0.99